Entry A
Ba2MgNbInO6, relaxed, DFT GGA-PBE; space-group type = Immm (71)
1.0
-2.997 3.166 5.331
2.997 -3.166 5.331
2.997 3.166 -5.331
Ba Mg Nb In O
2 1 1 1 6
Direct
0.183 0.183 0.000 Ba
0.817 0.817 0.000 Ba
0.500 0.500 0.000 Mg
0.500 0.000 0.500 Nb
0.000 0.500 0.500 In
0.281 0.247 0.528 O
0.281 0.753 0.034 O
0.311 0.811 0.500 O
0.689 0.189 0.500 O
0.719 0.247 0.966 O
0.719 0.753 0.472 O



Entry B
Ba2MgNbInO6, relaxed, DFT GGA-PBE; space-group type = Cm (8)
1.0
5.380 -3.107 0.000
5.380 3.107 0.000
-3.579 0.000 5.936
Ba Mg Nb In O
2 1 1 1 6
Direct
0.000 0.000 0.000 Ba
0.588 0.588 0.764 Ba
0.224 0.224 0.670 Mg
0.390 0.390 0.170 Nb
0.811 0.811 0.433 In
0.037 0.563 0.164 O
0.042 0.042 0.656 O
0.042 0.573 0.657 O
0.563 0.037 0.164 O
0.563 0.563 0.165 O
0.573 0.042 0.657 O



Which of them is most stable? Easy: entry B.



Entry A
Ba3Ir2N4, relaxed, DFT GGA-PBE; space-group type = C2/c (15)
1.0
6.030 -4.856 0.000
6.030 4.856 0.000
-0.410 0.000 5.816
Ba Ir N
6 4 8
Direct
0.087 0.913 0.750 Ba
0.227 0.532 0.440 Ba
0.468 0.773 0.060 Ba
0.532 0.227 0.940 Ba
0.773 0.468 0.560 Ba
0.913 0.087 0.250 Ba
0.119 0.354 0.919 Ir
0.354 0.119 0.419 Ir
0.646 0.881 0.581 Ir
0.881 0.646 0.081 Ir
0.129 0.233 0.591 N
0.193 0.572 0.947 N
0.233 0.129 0.091 N
0.428 0.807 0.553 N
0.572 0.193 0.447 N
0.767 0.871 0.909 N
0.807 0.428 0.053 N
0.871 0.767 0.409 N



Entry B
Ba3Ir2N4, relaxed, DFT GGA-PBE; space-group type = Pnna (52)
1.0
6.685 0.000 0.000
0.000 10.120 0.000
0.000 0.000 10.336
Ba Ir N
12 8 16
Direct
0.109 0.161 0.081 Ba
0.109 0.339 0.419 Ba
0.250 0.000 0.400 Ba
0.250 0.500 0.100 Ba
0.391 0.661 0.419 Ba
0.391 0.839 0.081 Ba
0.609 0.161 0.919 Ba
0.609 0.339 0.581 Ba
0.750 0.000 0.600 Ba
0.750 0.500 0.900 Ba
0.891 0.661 0.581 Ba
0.891 0.839 0.919 Ba
0.088 0.250 0.750 Ir
0.250 0.000 0.724 Ir
0.250 0.500 0.776 Ir
0.412 0.750 0.750 Ir
0.588 0.250 0.250 Ir
0.750 0.000 0.276 Ir
0.750 0.500 0.224 Ir
0.912 0.750 0.250 Ir
0.014 0.081 0.831 N
0.014 0.419 0.669 N
0.101 0.628 0.874 N
0.101 0.872 0.626 N
0.399 0.128 0.626 N
0.399 0.372 0.874 N
0.486 0.581 0.669 N
0.486 0.919 0.831 N
0.514 0.081 0.169 N
0.514 0.419 0.331 N
0.601 0.628 0.126 N
0.601 0.872 0.374 N
0.899 0.128 0.374 N
0.899 0.372 0.126 N
0.986 0.581 0.331 N
0.986 0.919 0.169 N



Which of them is most stable? Easy: entry B.



Entry A
Ba14Ir8Pd3O33, relaxed, DFT GGA-PBE; space-group type = P321 (150)
1.0
10.208 0.000 0.000
-5.104 8.841 0.000
0.000 0.000 30.789
Ba Ir Pd O
42 24 9 99
Direct
0.000 0.350 0.000 Ba
0.000 0.650 0.360 Ba
0.000 0.650 0.640 Ba
0.000 0.671 0.500 Ba
0.002 0.332 0.856 Ba
0.002 0.669 0.216 Ba
0.014 0.332 0.289 Ba
0.015 0.333 0.571 Ba
0.016 0.685 0.930 Ba
0.315 0.331 0.930 Ba
0.318 0.985 0.571 Ba
0.318 0.986 0.289 Ba
0.329 0.329 0.500 Ba
0.330 0.998 0.856 Ba
0.331 0.315 0.070 Ba
0.331 0.332 0.216 Ba
0.332 0.002 0.144 Ba
0.332 0.014 0.711 Ba
0.332 0.331 0.784 Ba
0.333 0.015 0.429 Ba
0.350 0.000 0.000 Ba
0.350 0.350 0.360 Ba
0.350 0.350 0.640 Ba
0.650 0.000 0.360 Ba
0.650 0.000 0.640 Ba
0.650 0.650 0.000 Ba
0.667 0.682 0.571 Ba
0.668 0.670 0.856 Ba
0.668 0.682 0.289 Ba
0.668 0.998 0.216 Ba
0.669 0.002 0.784 Ba
0.669 0.984 0.930 Ba
0.670 0.668 0.144 Ba
0.671 0.000 0.500 Ba
0.682 0.667 0.429 Ba
0.682 0.668 0.711 Ba
0.685 0.016 0.070 Ba
0.984 0.669 0.070 Ba
0.985 0.318 0.429 Ba
0.986 0.318 0.711 Ba
0.998 0.330 0.144 Ba
0.998 0.668 0.784 Ba
0.000 0.000 0.097 Ir
0.000 0.000 0.181 Ir
0.000 0.000 0.264 Ir
0.000 0.000 0.457 Ir
0.000 0.000 0.543 Ir
0.000 0.000 0.736 Ir
0.000 0.000 0.819 Ir
0.000 0.000 0.903 Ir
0.333 0.667 0.163 Ir
0.333 0.667 0.247 Ir
0.333 0.667 0.330 Ir
0.333 0.667 0.523 Ir
0.333 0.667 0.610 Ir
0.333 0.667 0.805 Ir
0.333 0.667 0.889 Ir
0.333 0.667 0.972 Ir
0.667 0.333 0.028 Ir
0.667 0.333 0.111 Ir
0.667 0.333 0.195 Ir
0.667 0.333 0.390 Ir
0.667 0.333 0.477 Ir
0.667 0.333 0.670 Ir
0.667 0.333 0.753 Ir
0.667 0.333 0.837 Ir
0.000 0.000 0.000 Pd
0.000 0.000 0.360 Pd
0.000 0.000 0.640 Pd
0.333 0.667 0.067 Pd
0.333 0.667 0.426 Pd
0.333 0.667 0.708 Pd
0.667 0.333 0.292 Pd
0.667 0.333 0.574 Pd
0.667 0.333 0.933 Pd
0.000 0.158 0.500 O
0.001 0.161 0.221 O
0.002 0.841 0.860 O
0.007 0.158 0.058 O
0.007 0.848 0.697 O
0.008 0.848 0.418 O
0.150 0.993 0.058 O
0.152 0.158 0.697 O
0.152 0.160 0.418 O
0.158 0.000 0.500 O
0.158 0.007 0.942 O
0.158 0.152 0.303 O
0.159 0.161 0.860 O
0.160 0.152 0.582 O
0.160 0.999 0.221 O
0.161 0.001 0.779 O
0.161 0.159 0.140 O
0.166 0.509 0.929 O
0.168 0.660 0.288 O
0.173 0.663 0.567 O
0.175 0.508 0.206 O
0.177 0.672 0.848 O
0.179 0.518 0.484 O
0.179 0.520 0.765 O
0.181 0.505 0.369 O
0.183 0.509 0.650 O
0.183 0.677 0.011 O
0.185 0.670 0.123 O
0.323 0.507 0.011 O
0.324 0.819 0.369 O
0.326 0.817 0.650 O
0.328 0.505 0.848 O
0.330 0.514 0.123 O
0.333 0.825 0.206 O
0.337 0.510 0.567 O
0.339 0.821 0.484 O
0.340 0.508 0.288 O
0.341 0.821 0.765 O
0.343 0.834 0.929 O
0.480 0.659 0.765 O
0.482 0.661 0.484 O
0.486 0.815 0.123 O
0.490 0.827 0.567 O
0.491 0.657 0.929 O
0.491 0.674 0.650 O
0.492 0.667 0.206 O
0.492 0.832 0.288 O
0.493 0.817 0.011 O
0.495 0.676 0.369 O
0.495 0.823 0.848 O
0.505 0.181 0.631 O
0.505 0.328 0.152 O
0.507 0.323 0.989 O
0.508 0.175 0.794 O
0.508 0.340 0.712 O
0.509 0.166 0.071 O
0.509 0.183 0.350 O
0.510 0.337 0.433 O
0.514 0.330 0.877 O
0.518 0.179 0.516 O
0.520 0.179 0.235 O
0.657 0.491 0.071 O
0.659 0.480 0.235 O
0.660 0.168 0.712 O
0.661 0.482 0.516 O
0.663 0.173 0.433 O
0.667 0.492 0.794 O
0.670 0.185 0.877 O
0.672 0.177 0.152 O
0.674 0.491 0.350 O
0.676 0.495 0.631 O
0.677 0.183 0.989 O
0.815 0.486 0.877 O
0.817 0.326 0.350 O
0.817 0.493 0.989 O
0.819 0.324 0.631 O
0.821 0.339 0.516 O
0.821 0.341 0.235 O
0.823 0.495 0.152 O
0.825 0.333 0.794 O
0.827 0.490 0.433 O
0.832 0.492 0.712 O
0.834 0.343 0.071 O
0.839 0.840 0.221 O
0.839 0.998 0.860 O
0.840 0.839 0.779 O
0.840 0.992 0.418 O
0.841 0.002 0.140 O
0.842 0.842 0.500 O
0.842 0.850 0.058 O
0.842 0.993 0.697 O
0.848 0.007 0.303 O
0.848 0.008 0.582 O
0.850 0.842 0.942 O
0.992 0.840 0.582 O
0.993 0.150 0.942 O
0.993 0.842 0.303 O
0.998 0.839 0.140 O
0.999 0.160 0.779 O



Entry B
Ba14Ir8Pd3O33, relaxed, DFT GGA-PBE; space-group type = C2 (5)
1.0
8.909 -5.136 0.000
8.909 5.136 0.000
-0.013 0.000 30.583
Ba Ir Pd O
42 24 9 99
Direct
0.000 0.000 0.000 Ba
0.005 0.639 0.640 Ba
0.016 0.642 0.359 Ba
0.024 0.971 0.146 Ba
0.028 0.661 0.071 Ba
0.029 0.954 0.430 Ba
0.029 0.976 0.854 Ba
0.030 0.639 0.498 Ba
0.031 0.636 0.784 Ba
0.032 0.644 0.219 Ba
0.032 0.961 0.710 Ba
0.039 0.968 0.290 Ba
0.046 0.971 0.570 Ba
0.053 0.613 0.929 Ba
0.338 0.326 0.570 Ba
0.339 0.329 0.289 Ba
0.339 0.972 0.929 Ba
0.356 0.968 0.781 Ba
0.358 0.984 0.641 Ba
0.361 0.309 0.142 Ba
0.361 0.970 0.502 Ba
0.361 0.995 0.360 Ba
0.364 0.969 0.216 Ba
0.366 0.308 0.858 Ba
0.369 0.288 0.000 Ba
0.374 0.307 0.429 Ba
0.385 0.303 0.711 Ba
0.387 0.947 0.071 Ba
0.671 0.661 0.711 Ba
0.674 0.662 0.430 Ba
0.683 0.307 0.069 Ba
0.691 0.639 0.858 Ba
0.692 0.634 0.142 Ba
0.693 0.317 0.931 Ba
0.693 0.626 0.571 Ba
0.695 0.299 0.788 Ba
0.697 0.615 0.289 Ba
0.699 0.301 0.500 Ba
0.701 0.305 0.212 Ba
0.712 0.631 0.000 Ba
0.723 0.275 0.359 Ba
0.725 0.277 0.641 Ba
0.023 0.304 0.163 Ir
0.024 0.306 0.973 Ir
0.028 0.300 0.612 Ir
0.028 0.307 0.524 Ir
0.029 0.305 0.247 Ir
0.030 0.299 0.804 Ir
0.032 0.302 0.331 Ir
0.032 0.306 0.889 Ir
0.355 0.640 0.264 Ir
0.357 0.632 0.456 Ir
0.360 0.637 0.819 Ir
0.360 0.645 0.736 Ir
0.362 0.638 0.097 Ir
0.362 0.638 0.903 Ir
0.363 0.640 0.181 Ir
0.368 0.643 0.544 Ir
0.693 0.972 0.476 Ir
0.694 0.968 0.111 Ir
0.694 0.976 0.027 Ir
0.695 0.971 0.753 Ir
0.696 0.977 0.837 Ir
0.698 0.968 0.669 Ir
0.700 0.972 0.388 Ir
0.701 0.970 0.196 Ir
0.010 0.324 0.427 Pd
0.027 0.374 0.708 Pd
0.103 0.302 0.068 Pd
0.341 0.659 0.000 Pd
0.365 0.571 0.640 Pd
0.429 0.635 0.360 Pd
0.626 0.973 0.292 Pd
0.676 0.990 0.573 Pd
0.698 0.897 0.932 Pd
0.018 0.469 0.289 O
0.018 0.470 0.568 O
0.019 0.149 0.929 O
0.023 0.139 0.772 O
0.028 0.450 0.120 O
0.034 0.147 0.487 O
0.036 0.146 0.207 O
0.036 0.458 0.848 O
0.038 0.453 0.015 O
0.040 0.126 0.645 O
0.045 0.141 0.370 O
0.175 0.311 0.655 O
0.176 0.156 0.120 O
0.176 0.300 0.760 O
0.177 0.150 0.015 O
0.182 0.308 0.486 O
0.182 0.647 0.296 O
0.185 0.305 0.206 O
0.186 0.146 0.848 O
0.186 0.312 0.369 O
0.187 0.156 0.567 O
0.191 0.626 0.424 O
0.193 0.148 0.288 O
0.198 0.294 0.931 O
0.200 0.794 0.779 O
0.202 0.641 0.141 O
0.203 0.635 0.860 O
0.206 0.800 0.221 O
0.207 0.785 0.945 O
0.212 0.788 0.500 O
0.215 0.635 0.693 O
0.215 0.793 0.055 O
0.216 0.643 0.587 O
0.353 0.818 0.704 O
0.355 0.487 0.058 O
0.357 0.784 0.413 O
0.359 0.798 0.859 O
0.360 0.481 0.221 O
0.362 0.478 0.778 O
0.365 0.785 0.307 O
0.365 0.797 0.140 O
0.366 0.483 0.502 O
0.370 0.479 0.942 O
0.374 0.809 0.576 O
0.506 0.487 0.307 O
0.513 0.494 0.693 O
0.513 0.645 0.942 O
0.514 0.485 0.412 O
0.515 0.486 0.588 O
0.516 0.479 0.140 O
0.517 0.634 0.498 O
0.519 0.640 0.779 O
0.521 0.484 0.860 O
0.521 0.630 0.058 O
0.522 0.638 0.222 O
0.530 0.982 0.432 O
0.531 0.127 0.071 O
0.531 0.982 0.711 O
0.539 0.132 0.793 O
0.542 0.964 0.152 O
0.547 0.962 0.985 O
0.549 0.115 0.239 O
0.549 0.123 0.518 O
0.550 0.125 0.628 O
0.550 0.972 0.880 O
0.552 0.125 0.344 O
0.682 0.148 0.994 O
0.687 0.127 0.151 O
0.688 0.814 0.631 O
0.689 0.825 0.345 O
0.692 0.818 0.514 O
0.695 0.815 0.794 O
0.697 0.143 0.868 O
0.700 0.824 0.240 O
0.704 0.126 0.433 O
0.705 0.127 0.712 O
0.706 0.802 0.069 O
0.844 0.813 0.433 O
0.844 0.824 0.880 O
0.850 0.823 0.985 O
0.851 0.981 0.071 O
0.852 0.318 0.006 O
0.852 0.807 0.712 O
0.853 0.966 0.513 O
0.854 0.814 0.152 O
0.854 0.964 0.793 O
0.857 0.303 0.132 O
0.859 0.955 0.630 O
0.861 0.977 0.228 O
0.868 0.461 0.207 O
0.873 0.295 0.288 O
0.873 0.313 0.849 O
0.873 0.469 0.929 O
0.874 0.296 0.567 O
0.874 0.960 0.355 O
0.875 0.448 0.656 O
0.875 0.450 0.372 O
0.877 0.451 0.482 O
0.885 0.451 0.761 O



Which of them is most stable? Easy: entry B.